# 1
{
  "formula": "PrCl3",
  "functional": "PBE-GGA",
  "state": "relaxed",
  "cell": [[7.554, 0.000, 0.000], [-3.777, 6.542, 0.000], [0.000, 0.000, 4.311]],
  "species": ["Pr", "Pr", "Cl", "Cl", "Cl", "Cl", "Cl", "Cl"],
  "frac_coords": [[0.333, 0.667, 0.250], [0.667, 0.333, 0.750], [0.086, 0.391, 0.750], [0.305, 0.914, 0.750], [0.391, 0.305, 0.250], [0.609, 0.695, 0.750], [0.695, 0.086, 0.250], [0.914, 0.609, 0.250]]
}


# 2
{
  "formula": "Pr3Cl",
  "functional": "PBE-GGA",
  "state": "relaxed",
  "magnetic_moment_mub_per_fu": 0.01,
  "cell": [[7.039, 0.000, 0.000], [-3.519, 6.096, 0.000], [0.000, 0.000, 5.688]],
  "species": ["Pr", "Pr", "Pr", "Pr", "Pr", "Pr", "Cl", "Cl"],
  "frac_coords": [[0.168, 0.337, 0.250], [0.168, 0.832, 0.250], [0.337, 0.168, 0.750], [0.663, 0.832, 0.250], [0.832, 0.168, 0.750], [0.832, 0.663, 0.750], [0.333, 0.667, 0.750], [0.667, 0.333, 0.250]]
}


# 3
{
  "formula": "Rb3PrCl6",
  "functional": "PBE-GGA",
  "state": "relaxed",
  "magnetic_moment_mub_per_fu": 0.00,
  "cell": [[0.000, 5.875, 5.875], [5.875, 0.000, 5.875], [5.875, 5.875, 0.000]],
  "species": ["Rb", "Rb", "Rb", "Pr", "Cl", "Cl", "Cl", "Cl", "Cl", "Cl"],
  "frac_coords": [[0.000, 0.000, 0.000], [0.250, 0.250, 0.250], [0.750, 0.750, 0.750], [0.500, 0.500, 0.500], [0.266, 0.266, 0.734], [0.266, 0.734, 0.266], [0.266, 0.734, 0.734], [0.734, 0.266, 0.266], [0.734, 0.266, 0.734], [0.734, 0.734, 0.266]]
}


# 4
{
  "formula": "PrSCl",
  "functional": "PBE-GGA",
  "state": "relaxed",
  "magnetic_moment_mub_per_fu": 0.00,
  "cell": [[6.913, 0.000, 0.000], [0.000, 7.019, 0.000], [0.000, 0.000, 41.535]],
  "species": ["Pr", "Pr", "Pr", "Pr", "Pr", "Pr", "Pr", "Pr", "Pr", "Pr", "Pr", "Pr", "Pr", "Pr", "Pr", "Pr", "Pr", "Pr", "Pr", "Pr", "Pr", "Pr", "Pr", "Pr", "S", "S", "S", "S", "S", "S", "S", "S", "S", "S", "S", "S", "S", "S", "S", "S", "S", "S", "S", "S", "S", "S", "S", "S", "Cl", "Cl", "Cl", "Cl", "Cl", "Cl", "Cl", "Cl", "Cl", "Cl", "Cl", "Cl", "Cl", "Cl", "Cl", "Cl", "Cl", "Cl", "Cl", "Cl", "Cl", "Cl", "Cl", "Cl"],
  "frac_coords": [[0.193, 0.213, 0.250], [0.193, 0.287, 0.750], [0.196, 0.199, 0.084], [0.196, 0.199, 0.416], [0.196, 0.301, 0.584], [0.196, 0.301, 0.916], [0.200, 0.729, 0.667], [0.200, 0.729, 0.833], [0.200, 0.771, 0.167], [0.200, 0.771, 0.333], [0.212, 0.750, 0.000], [0.212, 0.750, 0.500], [0.788, 0.250, 0.000], [0.788, 0.250, 0.500], [0.800, 0.229, 0.667], [0.800, 0.229, 0.833], [0.800, 0.271, 0.167], [0.800, 0.271, 0.333], [0.804, 0.699, 0.084], [0.804, 0.699, 0.416], [0.804, 0.801, 0.584], [0.804, 0.801, 0.916], [0.807, 0.713, 0.250], [0.807, 0.787, 0.750], [0.030, 0.037, 0.542], [0.030, 0.037, 0.958], [0.030, 0.463, 0.042], [0.030, 0.463, 0.458], [0.034, 0.011, 0.709], [0.034, 0.011, 0.791], [0.034, 0.489, 0.209], [0.034, 0.489, 0.291], [0.044, 0.011, 0.627], [0.044, 0.011, 0.873], [0.044, 0.489, 0.127], [0.044, 0.489, 0.373], [0.956, 0.511, 0.627], [0.956, 0.511, 0.873], [0.956, 0.989, 0.127], [0.956, 0.989, 0.373], [0.966, 0.511, 0.709], [0.966, 0.511, 0.791], [0.966, 0.989, 0.209], [0.966, 0.989, 0.291], [0.970, 0.537, 0.542], [0.970, 0.537, 0.958], [0.970, 0.963, 0.042], [0.970, 0.963, 0.458], [0.446, 0.629, 0.614], [0.446, 0.629, 0.886], [0.446, 0.871, 0.114], [0.446, 0.871, 0.386], [0.458, 0.085, 0.200], [0.458, 0.085, 0.300], [0.458, 0.415, 0.700], [0.458, 0.415, 0.800], [0.461, 0.086, 0.036], [0.461, 0.086, 0.464], [0.461, 0.414, 0.536], [0.461, 0.414, 0.964], [0.539, 0.586, 0.036], [0.539, 0.586, 0.464], [0.539, 0.914, 0.536], [0.539, 0.914, 0.964], [0.542, 0.585, 0.200], [0.542, 0.585, 0.300], [0.542, 0.915, 0.700], [0.542, 0.915, 0.800], [0.554, 0.129, 0.614], [0.554, 0.129, 0.886], [0.554, 0.371, 0.114], [0.554, 0.371, 0.386]]
}


# 5
{
  "formula": "Pr7S6Cl9",
  "functional": "PBE-GGA",
  "state": "relaxed",
  "magnetic_moment_mub_per_fu": 0.01,
  "cell": [[24.686, 0.000, 0.000], [0.000, 6.775, 0.000], [-0.956, 0.000, 7.004]],
  "species": ["Pr", "Pr", "Pr", "Pr", "Pr", "Pr", "Pr", "Pr", "Pr", "Pr", "Pr", "Pr", "Pr", "Pr", "S", "S", "S", "S", "S", "S", "S", "S", "S", "S", "S", "S", "Cl", "Cl", "Cl", "Cl", "Cl", "Cl", "Cl", "Cl", "Cl", "Cl", "Cl", "Cl", "Cl", "Cl", "Cl", "Cl", "Cl", "Cl"],
  "frac_coords": [[0.000, 0.212, 0.250], [0.000, 0.788, 0.750], [0.143, 0.195, 0.876], [0.143, 0.805, 0.376], [0.285, 0.196, 0.364], [0.285, 0.804, 0.864], [0.422, 0.217, 0.008], [0.422, 0.783, 0.508], [0.578, 0.217, 0.492], [0.578, 0.783, 0.992], [0.715, 0.196, 0.136], [0.715, 0.804, 0.636], [0.857, 0.195, 0.624], [0.857, 0.805, 0.124], [0.072, 0.036, 0.574], [0.072, 0.964, 0.074], [0.218, 0.052, 0.618], [0.218, 0.948, 0.118], [0.361, 0.054, 0.689], [0.361, 0.946, 0.189], [0.639, 0.054, 0.811], [0.639, 0.946, 0.311], [0.782, 0.052, 0.882], [0.782, 0.948, 0.382], [0.928, 0.036, 0.926], [0.928, 0.964, 0.426], [0.059, 0.452, 0.940], [0.059, 0.548, 0.440], [0.188, 0.429, 0.234], [0.188, 0.571, 0.734], [0.319, 0.412, 0.029], [0.319, 0.588, 0.529], [0.442, 0.395, 0.377], [0.442, 0.605, 0.877], [0.500, 0.056, 0.750], [0.500, 0.944, 0.250], [0.558, 0.395, 0.123], [0.558, 0.605, 0.623], [0.681, 0.412, 0.471], [0.681, 0.588, 0.971], [0.812, 0.429, 0.266], [0.812, 0.571, 0.766], [0.941, 0.452, 0.560], [0.941, 0.548, 0.060]]
}


# 6
{
  "formula": "Pr3Si2S8Cl",
  "functional": "PBE-GGA",
  "state": "relaxed",
  "magnetic_moment_mub_per_fu": 0.00,
  "cell": [[7.910, -3.869, 0.000], [7.910, 3.869, 0.000], [-1.474, 0.000, 10.952]],
  "species": ["Pr", "Pr", "Pr", "Pr", "Pr", "Pr", "Si", "Si", "Si", "Si", "S", "S", "S", "S", "S", "S", "S", "S", "S", "S", "S", "S", "S", "S", "S", "S", "Cl", "Cl"],
  "frac_coords": [[0.122, 0.878, 0.750], [0.182, 0.427, 0.314], [0.427, 0.182, 0.814], [0.573, 0.818, 0.186], [0.818, 0.573, 0.686], [0.878, 0.122, 0.250], [0.127, 0.192, 0.029], [0.192, 0.127, 0.529], [0.808, 0.873, 0.471], [0.873, 0.808, 0.971], [0.058, 0.237, 0.839], [0.092, 0.777, 0.451], [0.104, 0.604, 0.858], [0.211, 0.357, 0.585], [0.223, 0.908, 0.049], [0.237, 0.058, 0.339], [0.357, 0.211, 0.085], [0.396, 0.896, 0.642], [0.604, 0.104, 0.358], [0.643, 0.789, 0.915], [0.763, 0.942, 0.661], [0.777, 0.092, 0.951], [0.789, 0.643, 0.415], [0.896, 0.396, 0.142], [0.908, 0.223, 0.549], [0.942, 0.763, 0.161], [0.493, 0.507, 0.750], [0.507, 0.493, 0.250]]
}


# 7
{
  "formula": "PtCl3",
  "functional": "PBE-GGA",
  "state": "relaxed",
  "cell": [[11.050, 6.380, 2.933], [-11.050, 6.380, 2.933], [0.000, -12.759, 2.933]],
  "species": ["Pt", "Pt", "Pt", "Pt", "Pt", "Pt", "Pt", "Pt", "Pt", "Pt", "Pt", "Pt", "Cl", "Cl", "Cl", "Cl", "Cl", "Cl", "Cl", "Cl", "Cl", "Cl", "Cl", "Cl", "Cl", "Cl", "Cl", "Cl", "Cl", "Cl", "Cl", "Cl", "Cl", "Cl", "Cl", "Cl", "Cl", "Cl", "Cl", "Cl", "Cl", "Cl", "Cl", "Cl", "Cl", "Cl", "Cl", "Cl"],
  "frac_coords": [[0.066, 0.244, 0.164], [0.164, 0.066, 0.244], [0.198, 0.771, 0.523], [0.229, 0.477, 0.802], [0.244, 0.164, 0.066], [0.477, 0.802, 0.229], [0.523, 0.198, 0.771], [0.756, 0.836, 0.934], [0.771, 0.523, 0.198], [0.802, 0.229, 0.477], [0.836, 0.934, 0.756], [0.934, 0.756, 0.836], [0.025, 0.691, 0.273], [0.050, 0.397, 0.557], [0.077, 0.095, 0.827], [0.095, 0.827, 0.077], [0.146, 0.540, 0.372], [0.166, 0.242, 0.652], [0.173, 0.923, 0.905], [0.222, 0.299, 0.394], [0.242, 0.652, 0.166], [0.273, 0.025, 0.691], [0.299, 0.394, 0.222], [0.309, 0.727, 0.975], [0.348, 0.834, 0.758], [0.372, 0.146, 0.540], [0.394, 0.222, 0.299], [0.397, 0.557, 0.050], [0.443, 0.950, 0.603], [0.460, 0.628, 0.854], [0.540, 0.372, 0.146], [0.557, 0.050, 0.397], [0.603, 0.443, 0.950], [0.606, 0.778, 0.701], [0.628, 0.854, 0.460], [0.652, 0.166, 0.242], [0.691, 0.273, 0.025], [0.701, 0.606, 0.778], [0.727, 0.975, 0.309], [0.758, 0.348, 0.834], [0.778, 0.701, 0.606], [0.827, 0.077, 0.095], [0.834, 0.758, 0.348], [0.854, 0.460, 0.628], [0.905, 0.173, 0.923], [0.923, 0.905, 0.173], [0.950, 0.603, 0.443], [0.975, 0.309, 0.727]]
}


# 8
{
  "formula": "Pt3Cl",
  "functional": "PBE-GGA",
  "state": "relaxed",
  "magnetic_moment_mub_per_fu": 0.53,
  "cell": [[0.000, 3.200, 3.200], [3.200, 0.000, 3.200], [3.200, 3.200, 0.000]],
  "species": ["Pt", "Pt", "Pt", "Cl"],
  "frac_coords": [[0.000, 0.000, 0.000], [0.250, 0.250, 0.250], [0.750, 0.750, 0.750], [0.500, 0.500, 0.500]]
}


# 9
{
  "formula": "PtCl4",
  "functional": "PBE-GGA",
  "state": "relaxed",
  "magnetic_moment_mub_per_fu": 0.00,
  "cell": [[11.485, 0.000, 0.000], [0.000, 11.485, 0.000], [0.000, 0.000, 11.485]],
  "species": ["Pt", "Pt", "Pt", "Pt", "Pt", "Pt", "Pt", "Pt", "Cl", "Cl", "Cl", "Cl", "Cl", "Cl", "Cl", "Cl", "Cl", "Cl", "Cl", "Cl", "Cl", "Cl", "Cl", "Cl", "Cl", "Cl", "Cl", "Cl", "Cl", "Cl", "Cl", "Cl", "Cl", "Cl", "Cl", "Cl", "Cl", "Cl", "Cl", "Cl"],
  "frac_coords": [[0.124, 0.124, 0.124], [0.124, 0.376, 0.624], [0.376, 0.624, 0.124], [0.376, 0.876, 0.624], [0.624, 0.124, 0.376], [0.624, 0.376, 0.876], [0.876, 0.624, 0.376], [0.876, 0.876, 0.876], [0.012, 0.249, 0.020], [0.012, 0.251, 0.520], [0.020, 0.012, 0.249], [0.020, 0.488, 0.749], [0.238, 0.238, 0.238], [0.238, 0.262, 0.738], [0.249, 0.020, 0.012], [0.249, 0.480, 0.512], [0.251, 0.520, 0.012], [0.251, 0.980, 0.512], [0.262, 0.738, 0.238], [0.262, 0.762, 0.738], [0.480, 0.512, 0.249], [0.480, 0.988, 0.749], [0.488, 0.749, 0.020], [0.488, 0.751, 0.520], [0.512, 0.249, 0.480], [0.512, 0.251, 0.980], [0.520, 0.012, 0.251], [0.520, 0.488, 0.751], [0.738, 0.238, 0.262], [0.738, 0.262, 0.762], [0.749, 0.020, 0.488], [0.749, 0.480, 0.988], [0.751, 0.520, 0.488], [0.751, 0.980, 0.988], [0.762, 0.738, 0.262], [0.762, 0.762, 0.762], [0.980, 0.512, 0.251], [0.980, 0.988, 0.751], [0.988, 0.749, 0.480], [0.988, 0.751, 0.980]]
}


# 10
{
  "formula": "PtS2Cl6",
  "functional": "PBE-GGA",
  "state": "relaxed",
  "magnetic_moment_mub_per_fu": 0.00,
  "cell": [[4.895, 0.000, 0.000], [-0.361, 6.940, 0.000], [-1.023, -2.102, 8.067]],
  "species": ["Pt", "S", "S", "Cl", "Cl", "Cl", "Cl", "Cl", "Cl"],
  "frac_coords": [[0.000, 0.000, 0.000], [0.283, 0.226, 0.204], [0.717, 0.774, 0.796], [0.093, 0.485, 0.219], [0.249, 0.179, 0.431], [0.277, 0.127, 0.837], [0.723, 0.873, 0.163], [0.751, 0.821, 0.569], [0.907, 0.515, 0.781]]
}


# 11
{
  "formula": "Tl2PtCl6",
  "functional": "PBE-GGA",
  "state": "relaxed",
  "cell": [[0.000, 5.054, 5.054], [5.054, 0.000, 5.054], [5.054, 5.054, 0.000]],
  "species": ["Tl", "Tl", "Pt", "Cl", "Cl", "Cl", "Cl", "Cl", "Cl"],
  "frac_coords": [[0.250, 0.250, 0.250], [0.750, 0.750, 0.750], [0.000, 0.000, 0.000], [0.232, 0.232, 0.768], [0.232, 0.768, 0.232], [0.232, 0.768, 0.768], [0.768, 0.232, 0.232], [0.768, 0.232, 0.768], [0.768, 0.768, 0.232]]
}


# 12
{
  "formula": "PuCl",
  "functional": "PBE-GGA",
  "state": "relaxed",
  "magnetic_moment_mub_per_fu": 6.42,
  "cell": [[3.573, 0.000, 0.000], [-1.786, 3.094, 0.000], [0.000, 0.000, 4.482]],
  "species": ["Pu", "Cl"],
  "frac_coords": [[0.000, 0.000, 0.000], [0.333, 0.667, 0.500]]
}


# 13
{
  "formula": "PuCl3",
  "functional": "PBE-GGA",
  "state": "relaxed",
  "cell": [[7.456, 0.000, 0.000], [-3.728, 6.457, 0.000], [0.000, 0.000, 4.243]],
  "species": ["Pu", "Pu", "Cl", "Cl", "Cl", "Cl", "Cl", "Cl"],
  "frac_coords": [[0.333, 0.667, 0.250], [0.667, 0.333, 0.750], [0.086, 0.392, 0.750], [0.305, 0.914, 0.750], [0.392, 0.305, 0.250], [0.608, 0.695, 0.750], [0.695, 0.086, 0.250], [0.914, 0.608, 0.250]]
}


# 14
{
  "formula": "Rb4SbRhCl12",
  "functional": "PBE-GGA",
  "state": "relaxed",
  "cell": [[7.269, 0.000, 0.000], [0.000, 7.269, 0.000], [0.000, 0.000, 10.486]],
  "species": ["Rb", "Rb", "Rb", "Rb", "Sb", "Rh", "Cl", "Cl", "Cl", "Cl", "Cl", "Cl", "Cl", "Cl", "Cl", "Cl", "Cl", "Cl"],
  "frac_coords": [[0.000, 0.500, 0.210], [0.000, 0.500, 0.790], [0.500, 0.000, 0.210], [0.500, 0.000, 0.790], [0.000, 0.000, 0.500], [0.500, 0.500, 0.000], [0.000, 0.000, 0.267], [0.000, 0.000, 0.733], [0.235, 0.235, 0.500], [0.235, 0.765, 0.500], [0.269, 0.269, 0.000], [0.269, 0.731, 0.000], [0.500, 0.500, 0.227], [0.500, 0.500, 0.773], [0.731, 0.269, 0.000], [0.731, 0.731, 0.000], [0.765, 0.235, 0.500], [0.765, 0.765, 0.500]]
}


# 15
{
  "formula": "Rb3SbCl6",
  "functional": "PBE-GGA",
  "state": "relaxed",
  "cell": [[0.000, 5.770, 5.770], [5.770, 0.000, 5.770], [5.770, 5.770, 0.000]],
  "species": ["Rb", "Rb", "Rb", "Sb", "Cl", "Cl", "Cl", "Cl", "Cl", "Cl"],
  "frac_coords": [[0.000, 0.000, 0.000], [0.250, 0.250, 0.250], [0.750, 0.750, 0.750], [0.500, 0.500, 0.500], [0.269, 0.269, 0.731], [0.269, 0.731, 0.269], [0.269, 0.731, 0.731], [0.731, 0.269, 0.269], [0.731, 0.269, 0.731], [0.731, 0.731, 0.269]]
}


Computed E_tot, in the same sequence as the records: -39.03 -33.51 -39.29 -412.18 -245.41 -162.72 -158.37 -17.55 -103.92 -28.01 -28.90 -18.28 -55.06 -60.82 -33.14 eV per cell.
Computed energy relative to the elements, in the same sequence as the records: -2.758 -0.294 -2.416 -2.508 -2.560 -1.847 -0.856 0.476 -0.396 -0.696 -1.189 -1.389 -2.390 -1.699 -1.866 eV/atom.